1.
{"formula": "SeS4N3Cl5", "functional": "GGA-PBE", "state": "optimized geometry", "lattice": [[-15.804, -1.593, -9.738], [4.549, -0.849, -7.244], [1.182, -8.595, -0.513]], "species": ["S", "S", "S", "S", "S", "S", "S", "S", "S", "S", "S", "S", "S", "S", "S", "S", "Cl", "Cl", "Cl", "Cl", "Cl", "Cl", "Cl", "Cl", "Cl", "Cl", "Cl", "Cl", "Cl", "Cl", "Cl", "Cl", "Cl", "Cl", "Cl", "Cl", "N", "N", "N", "N", "N", "N", "N", "N", "N", "N", "N", "N", "Se", "Se", "Se", "Se"], "fractional_positions": [[0.561, 0.178, 0.222], [0.163, 0.793, 0.179], [0.837, 0.207, 0.821], [0.439, 0.822, 0.778], [0.939, 0.178, 0.722], [0.236, 0.080, 0.259], [0.061, 0.822, 0.278], [0.905, 0.881, 0.602], [0.736, 0.920, 0.241], [0.264, 0.080, 0.759], [0.337, 0.793, 0.679], [0.405, 0.119, 0.898], [0.095, 0.119, 0.398], [0.764, 0.920, 0.741], [0.663, 0.207, 0.321], [0.595, 0.881, 0.102], [0.559, 0.482, 0.339], [0.910, 0.802, 0.044], [0.790, 0.512, 0.077], [0.410, 0.198, 0.456], [0.090, 0.198, 0.956], [0.395, 0.459, 0.112], [0.895, 0.541, 0.388], [0.590, 0.802, 0.544], [0.591, 0.231, 0.720], [0.441, 0.518, 0.661], [0.105, 0.459, 0.612], [0.409, 0.769, 0.280], [0.710, 0.512, 0.577], [0.091, 0.769, 0.780], [0.909, 0.231, 0.220], [0.290, 0.488, 0.423], [0.941, 0.482, 0.839], [0.059, 0.518, 0.161], [0.605, 0.541, 0.888], [0.210, 0.488, 0.923], [0.217, 0.927, 0.199], [0.283, 0.927, 0.699], [0.440, 0.969, 0.856], [0.177, 0.153, 0.352], [0.823, 0.847, 0.648], [0.677, 0.847, 0.148], [0.717, 0.073, 0.301], [0.560, 0.031, 0.144], [0.783, 0.073, 0.801], [0.940, 0.031, 0.644], [0.060, 0.969, 0.356], [0.323, 0.153, 0.852], [0.908, 0.514, 0.134], [0.092, 0.486, 0.866], [0.408, 0.486, 0.366], [0.592, 0.514, 0.634]], "dft_energy_ev_per_atom": -4.1200, "formation_enthalpy_0k_kj_per_mol_atoms": -17, "e_above_lowest_polymorph_mev_per_atom": 0, "m_tot_mub_per_atom": 0.000}

2.
{"formula": "SeS4N3Cl3", "functional": "GGA-PBE", "state": "optimized geometry", "lattice": [[14.725, 0.000, 0.000], [0.000, 10.709, 0.000], [0.000, 2.249, 14.098]], "species": ["S", "S", "S", "S", "S", "S", "S", "S", "S", "S", "S", "S", "S", "S", "S", "S", "S", "S", "S", "S", "S", "S", "S", "S", "S", "S", "S", "S", "S", "S", "S", "S", "Se", "Se", "Se", "Se", "Se", "Se", "Se", "Se", "Cl", "Cl", "Cl", "Cl", "Cl", "Cl", "Cl", "Cl", "Cl", "Cl", "Cl", "Cl", "Cl", "Cl", "Cl", "Cl", "Cl", "Cl", "Cl", "Cl", "Cl", "Cl", "Cl", "Cl", "N", "N", "N", "N", "N", "N", "N", "N", "N", "N", "N", "N", "N", "N", "N", "N", "N", "N", "N", "N", "N", "N", "N", "N"], "fractional_positions": [[0.351, 0.247, 0.915], [0.351, 0.669, 0.488], [0.652, 0.597, 0.925], [0.152, 0.403, 0.575], [0.851, 0.753, 0.585], [0.374, 0.068, 0.000], [0.609, 0.234, 0.786], [0.616, 0.844, 0.809], [0.874, 0.932, 0.500], [0.630, 0.486, 0.672], [0.891, 0.234, 0.286], [0.848, 0.597, 0.425], [0.884, 0.844, 0.309], [0.626, 0.932, 0.000], [0.367, 0.850, 0.405], [0.370, 0.514, 0.328], [0.116, 0.156, 0.691], [0.633, 0.150, 0.595], [0.348, 0.403, 0.075], [0.384, 0.156, 0.191], [0.133, 0.850, 0.905], [0.649, 0.331, 0.512], [0.109, 0.766, 0.714], [0.130, 0.514, 0.828], [0.149, 0.247, 0.415], [0.391, 0.766, 0.214], [0.649, 0.753, 0.085], [0.126, 0.068, 0.500], [0.851, 0.331, 0.012], [0.149, 0.669, 0.988], [0.867, 0.150, 0.095], [0.870, 0.486, 0.172], [0.126, 0.126, 0.109], [0.125, 0.785, 0.286], [0.625, 0.215, 0.214], [0.875, 0.215, 0.714], [0.874, 0.874, 0.891], [0.375, 0.785, 0.786], [0.626, 0.874, 0.391], [0.374, 0.126, 0.609], [0.150, 0.041, 0.300], [0.886, 0.414, 0.746], [0.596, 0.675, 0.362], [0.411, 0.732, 0.945], [0.327, 0.873, 0.605], [0.106, 0.173, 0.949], [0.173, 0.873, 0.105], [0.614, 0.414, 0.246], [0.850, 0.959, 0.700], [0.904, 0.675, 0.862], [0.827, 0.127, 0.895], [0.606, 0.827, 0.551], [0.350, 0.041, 0.800], [0.650, 0.959, 0.200], [0.894, 0.827, 0.051], [0.404, 0.325, 0.638], [0.386, 0.586, 0.754], [0.096, 0.325, 0.138], [0.911, 0.268, 0.555], [0.394, 0.173, 0.449], [0.673, 0.127, 0.395], [0.089, 0.732, 0.445], [0.114, 0.586, 0.254], [0.589, 0.268, 0.055], [0.356, 0.562, 0.424], [0.144, 0.562, 0.924], [0.383, 0.840, 0.298], [0.136, 0.303, 0.668], [0.884, 0.384, 0.264], [0.364, 0.303, 0.168], [0.386, 0.081, 0.107], [0.117, 0.840, 0.798], [0.617, 0.160, 0.702], [0.345, 0.354, 0.978], [0.856, 0.438, 0.076], [0.655, 0.646, 0.022], [0.845, 0.646, 0.522], [0.114, 0.081, 0.607], [0.883, 0.160, 0.202], [0.614, 0.919, 0.893], [0.644, 0.438, 0.576], [0.886, 0.919, 0.393], [0.616, 0.384, 0.764], [0.155, 0.354, 0.478], [0.384, 0.616, 0.236], [0.636, 0.697, 0.832], [0.864, 0.697, 0.332], [0.116, 0.616, 0.736]], "dft_energy_ev_per_atom": -4.4389, "formation_enthalpy_0k_kj_per_mol_atoms": -1}